w | Below is a relaxed structure of LaZnFeSnO6, with properties calculated at the PBE with a Hubbard U level.

Cell lengths 5.6434, 5.6434, 5.6434 Å; angles 60.00, 60.00, 60.00 degrees
Fractional positions:
La (0.7500, 0.7500, 0.7500)
Zn (0.2500, 0.2500, 0.2500)
Fe (0.0000, 0.0000, 0.0000)
Sn (0.5000, 0.5000, 0.5000)
O (0.7535, 0.2465, 0.2465)
O (0.2465, 0.7535, 0.7535)
O (0.7535, 0.2465, 0.7535)
O (0.2465, 0.7535, 0.2465)
O (0.7535, 0.7535, 0.2465)
O (0.2465, 0.2465, 0.7535)


x | Below is a relaxed structure of LaZnFeSnO6, with properties calculated at the PBE with a Hubbard U level.

Cell lengths 5.6538, 5.4450, 9.5899 Å; angles 55.98, 90.00, 90.00 degrees
Fractional positions:
La (0.2908, 0.2364, 0.7506)
La (0.7092, 0.2364, 0.2506)
Zn (0.7816, 0.7665, 0.7558)
Zn (0.2184, 0.7665, 0.2558)
Fe (0.7551, 0.9976, 0.0020)
Fe (0.2449, 0.9976, 0.5020)
Sn (0.7579, 0.4993, 0.5021)
Sn (0.2421, 0.4993, 0.0021)
O (0.2785, 0.3941, 0.2507)
O (0.4421, 0.1234, 0.0640)
O (0.4476, 0.7550, 0.4382)
O (0.5524, 0.7550, 0.9382)
O (0.5579, 0.1234, 0.5640)
O (0.7215, 0.3941, 0.7507)
O (0.7969, 0.6571, 0.2469)
O (0.9834, 0.8502, 0.4304)
O (0.9618, 0.2203, 0.0593)
O (0.0382, 0.2203, 0.5593)
O (0.0166, 0.8502, 0.9304)
O (0.2031, 0.6571, 0.7469)


Most stable: x. Least stable: w.


w | Below is a relaxed structure of NaFe2O4, with properties calculated at the PBE with a Hubbard U level.

Cell lengths 2.9981, 9.2397, 10.8373 Å; angles 90.00, 90.00, 90.00 degrees
Fractional positions:
Na (0.2500, 0.7426, 0.1574)
Na (0.7500, 0.7574, 0.6574)
Na (0.2500, 0.2426, 0.3426)
Na (0.7500, 0.2574, 0.8426)
Fe (0.2500, 0.5630, 0.3880)
Fe (0.2500, 0.5835, 0.8973)
Fe (0.7500, 0.9165, 0.3973)
Fe (0.7500, 0.9370, 0.8880)
Fe (0.2500, 0.0630, 0.1120)
Fe (0.2500, 0.0835, 0.6027)
Fe (0.7500, 0.4165, 0.1027)
Fe (0.7500, 0.4370, 0.6120)
O (0.7500, 0.5237, 0.7855)
O (0.2500, 0.5754, 0.5740)
O (0.7500, 0.6142, 0.0198)
O (0.7500, 0.7051, 0.3493)
O (0.2500, 0.7949, 0.8493)
O (0.2500, 0.8858, 0.5198)
O (0.7500, 0.9246, 0.0740)
O (0.2500, 0.9763, 0.2855)
O (0.7500, 0.0237, 0.7145)
O (0.2500, 0.0754, 0.9260)
O (0.7500, 0.1142, 0.4802)
O (0.7500, 0.2051, 0.1507)
O (0.2500, 0.2949, 0.6507)
O (0.2500, 0.3858, 0.9802)
O (0.7500, 0.4246, 0.4260)
O (0.2500, 0.4763, 0.2145)


x | Below is a relaxed structure of NaFe2O4, with properties calculated at the PBE with a Hubbard U level.

Cell lengths 5.1469, 5.9765, 13.0144 Å; angles 62.79, 90.00, 90.00 degrees
Fractional positions:
Na (0.9700, 0.5000, 0.2500)
Na (0.6450, 0.0000, 0.7500)
Na (0.3550, 0.0000, 0.2500)
Na (0.0300, 0.5000, 0.7500)
Fe (0.9991, 0.2399, 0.0083)
Fe (0.0009, 0.7601, 0.9917)
Fe (0.9991, 0.7601, 0.4917)
Fe (0.0009, 0.2399, 0.5083)
Fe (0.5000, 0.5000, 0.0000)
Fe (0.5000, 0.0000, 0.0000)
Fe (0.5000, 0.5000, 0.5000)
Fe (0.5000, 0.0000, 0.5000)
O (0.8260, 0.4133, 0.5921)
O (0.8352, 0.0975, 0.9075)
O (0.8352, 0.9025, 0.5925)
O (0.8260, 0.5867, 0.9079)
O (0.6580, 0.1692, 0.0903)
O (0.6580, 0.8308, 0.4097)
O (0.6760, 0.6594, 0.0876)
O (0.6760, 0.3406, 0.4124)
O (0.3240, 0.6594, 0.5876)
O (0.3240, 0.3406, 0.9124)
O (0.3420, 0.1692, 0.5903)
O (0.3420, 0.8308, 0.9097)
O (0.1740, 0.5867, 0.4079)
O (0.1648, 0.0975, 0.4075)
O (0.1648, 0.9025, 0.0925)
O (0.1740, 0.4133, 0.0921)


Most stable: w. Least stable: x.


w | Below is a relaxed structure of LiVBO4, with properties calculated at the PBE with a Hubbard U level.

Cell lengths 9.5737, 8.3999, 5.2000 Å; angles 89.99, 90.02, 124.72 degrees
Fractional positions:
Li (0.2311, 0.5062, 0.7718)
Li (0.2749, 0.5062, 0.2719)
Li (0.7251, 0.4938, 0.2719)
Li (0.7688, 0.4938, 0.7719)
V (0.1292, 0.8043, 0.4661)
V (0.3250, 0.1959, 0.9660)
V (0.6749, 0.8040, 0.9660)
V (0.8709, 0.1957, 0.4662)
B (0.1934, 0.7709, 0.0184)
B (0.5772, 0.7707, 0.5182)
B (0.4227, 0.2292, 0.5183)
B (0.8066, 0.2292, 0.0184)
O (0.1911, 0.9291, 0.1056)
O (0.1952, 0.7211, 0.7711)
O (0.1887, 0.6676, 0.2295)
O (0.0810, 0.3152, 0.5043)
O (0.2345, 0.3156, 0.0043)
O (0.2623, 0.0712, 0.6055)
O (0.4786, 0.6674, 0.7292)
O (0.5257, 0.7211, 0.2709)
O (0.4742, 0.2789, 0.2709)
O (0.5213, 0.3325, 0.7293)
O (0.7376, 0.9287, 0.6056)
O (0.7655, 0.6843, 0.0043)
O (0.9191, 0.6847, 0.5043)
O (0.8115, 0.3326, 0.2294)
O (0.8049, 0.2790, 0.7711)
O (0.8087, 0.0709, 0.1056)


x | Below is a relaxed structure of LiVBO4, with properties calculated at the PBE with a Hubbard U level.

Cell lengths 4.3856, 6.0672, 10.1012 Å; angles 90.00, 90.00, 90.00 degrees
Fractional positions:
Li (0.4805, 0.2500, 0.7235)
Li (0.9805, 0.7500, 0.7765)
Li (0.0195, 0.2500, 0.2235)
Li (0.5195, 0.7500, 0.2765)
V (0.0000, 0.5000, 0.5000)
V (0.0000, 0.0000, 0.5000)
V (0.5000, 0.5000, 0.0000)
V (0.5000, 0.0000, 0.0000)
B (0.4067, 0.7500, 0.5828)
B (0.9067, 0.2500, 0.9172)
B (0.0933, 0.7500, 0.0828)
B (0.5933, 0.2500, 0.4172)
O (0.7472, 0.2500, 0.5612)
O (0.7351, 0.7500, 0.5747)
O (0.2711, 0.9517, 0.6422)
O (0.2711, 0.5483, 0.6422)
O (0.7711, 0.0483, 0.8578)
O (0.7711, 0.4517, 0.8578)
O (0.2351, 0.2500, 0.9253)
O (0.2472, 0.7500, 0.9388)
O (0.7528, 0.2500, 0.0612)
O (0.7649, 0.7500, 0.0747)
O (0.2289, 0.5483, 0.1422)
O (0.2289, 0.9517, 0.1422)
O (0.7289, 0.0483, 0.3578)
O (0.7289, 0.4517, 0.3578)
O (0.2649, 0.2500, 0.4253)
O (0.2528, 0.7500, 0.4388)


Most stable: w. Least stable: x.